1.
HfO2 | PBE | relaxed

a b c (Å): 5.1423 5.1951 5.3260
angles (deg): 90.00 99.67 90.00
With the nearest neighbours (Å) after each atom.
Fractional coordinates of all 12 atoms:
Hf 0.2240 0.0427 0.2921  7 O 2.05-2.26
Hf 0.2240 0.4573 0.7921  7 O 2.05-2.26
Hf 0.7760 0.5427 0.2079  7 O 2.05-2.26
Hf 0.7760 0.9573 0.7079  7 O 2.05-2.26
O 0.0511 0.7426 0.5223  4 Hf 2.15-2.26
O 0.0511 0.7574 0.0223  4 Hf 2.15-2.26
O 0.4322 0.1699 0.6529  3 Hf 2.05-2.14
O 0.4322 0.3301 0.1529  3 Hf 2.05-2.14
O 0.5678 0.6699 0.8471  3 Hf 2.05-2.14
O 0.5678 0.8301 0.3471  3 Hf 2.05-2.14
O 0.9489 0.2426 0.9777  4 Hf 2.15-2.26
O 0.9489 0.2574 0.4777  4 Hf 2.15-2.26

Calculated values
Volume = 11.69 Å³/atom
Total energy = -10.180 eV/atom
Energy relative to the elements = -4019.8 meV/atom
Symmetry = P2_1/c

2.
Na4Sc3InSi8O24 | PBE | relaxed

a b c (Å): 5.4135 9.1803 9.8555
angles (deg): 90.00 104.33 90.00
With the nearest neighbours (Å) after each atom.
Fractional coordinates of all 40 atoms:
Na 0.0000 0.0000 0.0000  6 O 2.41-2.52
Na 0.0000 0.1058 0.5000  6 O 2.43-2.53
Na 0.5000 0.5005 0.5000  6 O 2.43-2.52
Na 0.5000 0.6073 0.0000  6 O 2.43-2.51
Sc 0.0000 0.4114 0.0000  6 O 2.02-2.23
Sc 0.0000 0.6976 0.5000  6 O 2.03-2.22
Sc 0.5000 0.9090 0.5000  6 O 2.03-2.23
In 0.5000 0.1993 0.0000  6 O 2.10-2.25
Si 0.2024 0.3901 0.7084  4 O 1.62-1.67
Si 0.2030 0.7161 0.2097  4 O 1.61-1.67
Si 0.2964 0.8887 0.7899  4 O 1.60-1.67
Si 0.2965 0.2162 0.2914  4 O 1.62-1.67
Si 0.7035 0.2162 0.7086  4 O 1.62-1.67
Si 0.7036 0.8887 0.2101  4 O 1.60-1.67
Si 0.7970 0.7161 0.7903  4 O 1.61-1.67
Si 0.7976 0.3901 0.2916  4 O 1.62-1.67
O 0.0809 0.3111 0.3502  2 Si 1.67
O 0.0809 0.7939 0.8493  2 Si 1.66-1.67
O 0.1968 0.5498 0.6389  1 Si 1.62
O 0.1971 0.5569 0.1395  1 Si 1.61
O 0.2154 0.2254 0.1196  1 Si 1.64
O 0.2236 0.8804 0.6177  1 Si 1.65
O 0.2748 0.3851 0.8806  1 Si 1.64
O 0.2766 0.7245 0.3817  1 Si 1.64
O 0.2916 0.0483 0.8555  1 Si 1.60
O 0.3038 0.0566 0.3614  1 Si 1.62
O 0.4195 0.2952 0.6508  2 Si 1.67
O 0.4191 0.8106 0.1505  2 Si 1.67
O 0.5805 0.2952 0.3492  2 Si 1.67
O 0.5809 0.8106 0.8495  2 Si 1.67
O 0.6962 0.0566 0.6386  1 Si 1.62
O 0.7084 0.0483 0.1445  1 Si 1.60
O 0.7234 0.7245 0.6183  1 Si 1.64
O 0.7252 0.3851 0.1194  1 Si 1.64
O 0.7764 0.8804 0.3823  1 Si 1.65
O 0.7846 0.2254 0.8804  1 Si 1.64
O 0.8032 0.5498 0.3611  1 Si 1.62
O 0.8029 0.5569 0.8605  1 Si 1.61
O 0.9191 0.3111 0.6498  2 Si 1.67
O 0.9191 0.7939 0.1507  2 Si 1.66-1.67

Calculated values
Volume = 11.86 Å³/atom
Total energy = -7.506 eV/atom
Energy relative to the elements = -3188.7 meV/atom
Symmetry = P2

3.
RbMg14Cr | PBE | relaxed

a b c (Å): 10.6627 6.4946 6.4946
angles (deg): 60.55 90.00 90.00
With the nearest neighbours (Å) after each atom.
Fractional coordinates of all 16 atoms:
Rb 0.0000 0.0000 0.0000  10 Mg 3.25-3.44, 2 Cr 3.27
Mg 0.0000 0.0049 0.4976  2 Cr 3.20-3.30, 8 Mg 3.22-3.39, 2 Rb 3.25
Mg 0.0000 0.4976 0.0049  2 Cr 3.20-3.30, 8 Mg 3.22-3.39, 2 Rb 3.25
Mg 0.2421 0.6646 0.6646  1 Cr 3.19, 11 Mg 3.22-3.33
Mg 0.2615 0.1754 0.6540  10 Mg 3.13-3.41, 1 Cr 3.33, 1 Rb 3.41
Mg 0.2615 0.6540 0.1754  10 Mg 3.13-3.41, 1 Cr 3.33, 1 Rb 3.41
Mg 0.2673 0.1717 0.1717  11 Mg 3.11-3.39, 1 Rb 3.44
Mg 0.5000 0.5007 0.5007  12 Mg 3.14-3.31
Mg 0.5000 0.5024 0.9970  12 Mg 3.11-3.33
Mg 0.5000 0.9970 0.5024  12 Mg 3.11-3.33
Mg 0.5000 0.9990 0.9990  12 Mg 3.15-3.27
Mg 0.7327 0.1717 0.1717  11 Mg 3.11-3.39, 1 Rb 3.44
Mg 0.7385 0.1754 0.6540  10 Mg 3.13-3.41, 1 Cr 3.33, 1 Rb 3.41
Mg 0.7385 0.6540 0.1754  10 Mg 3.13-3.41, 1 Cr 3.33, 1 Rb 3.41
Mg 0.7579 0.6646 0.6646  1 Cr 3.19, 11 Mg 3.22-3.33
Cr 0.0000 0.4974 0.4974  10 Mg 3.19-3.33, 2 Rb 3.27

Calculated values
Volume = 24.48 Å³/atom
Total energy = -1.842 eV/atom
Energy relative to the elements = 222.5 meV/atom
Symmetry = Amm2

4.
Ba2PbS3O12 | PBE | relaxed

a b c (Å): 11.3974 5.5438 16.9753
angles (deg): 90.00 97.39 90.00
With the nearest neighbours (Å) after each atom.
Fractional coordinates of all 72 atoms:
Ba 0.0000 0.0000 0.0000  10 O 2.78-3.09
Ba 0.0176 0.5000 0.3511  8 O 2.73-2.94
Ba 0.0793 0.5000 0.7888  10 O 2.80-3.11
Ba 0.3337 0.0000 0.6661  10 O 2.78-3.09
Ba 0.3537 0.5000 0.0183  8 O 2.76-2.93
Ba 0.4124 0.5000 0.4551  8 O 2.76-2.94
Ba 0.6867 0.5000 0.6840  8 O 2.74-2.94
Ba 0.7466 0.5000 0.1232  10 O 2.80-3.10
Pb 0.2726 0.0000 0.2240  8 O 2.71-2.99
Pb 0.6070 0.0000 0.8910  8 O 2.73-3.01
Pb 0.6619 0.0000 0.3335  8 O 2.72-2.97
Pb 0.9382 0.0000 0.5559  8 O 2.72-3.01
S 0.1188 0.5000 0.1365  4 O 1.47-1.51
S 0.1519 0.5000 0.5913  4 O 1.47-1.51
S 0.1979 0.0000 0.4245  4 O 1.48-1.50
S 0.2401 0.0000 0.8846  4 O 1.48-1.50
S 0.4520 0.5000 0.8028  4 O 1.48-1.51
S 0.4907 0.5000 0.2593  4 O 1.47-1.51
S 0.5315 0.0000 0.0929  4 O 1.48-1.50
S 0.5751 0.0000 0.5498  4 O 1.47-1.50
S 0.7815 0.5000 0.4678  4 O 1.47-1.51
S 0.8186 0.5000 0.9246  4 O 1.47-1.51
S 0.8644 0.0000 0.7580  4 O 1.47-1.50
S 0.9046 0.0000 0.2188  4 O 1.48-1.50
O 0.0347 0.0000 0.2403  1 S 1.48
O 0.0687 0.0000 0.4326  1 S 1.50
O 0.0845 0.5000 0.5116  1 S 1.47
O 0.1205 0.2801 0.6363  1 S 1.51
O 0.1205 0.7199 0.6363  1 S 1.51
O 0.1520 0.5000 0.2239  1 S 1.48
O 0.1719 0.2797 0.1027  1 S 1.51
O 0.1719 0.7203 0.1027  1 S 1.51
O 0.1879 0.2184 0.9193  1 S 1.50
O 0.1879 0.7816 0.9193  1 S 1.50
O 0.2045 0.0000 0.7971  1 S 1.49
O 0.2255 0.2182 0.3780  1 S 1.50
O 0.2255 0.7818 0.3780  1 S 1.50
O 0.2723 0.0000 0.5023  1 S 1.48
O 0.2825 0.5000 0.5891  1 S 1.49
O 0.3229 0.5000 0.7788  1 S 1.48
O 0.3698 0.0000 0.9063  1 S 1.48
O 0.4020 0.0000 0.1003  1 S 1.50
O 0.4196 0.5000 0.1807  1 S 1.47
O 0.4607 0.2789 0.3050  1 S 1.51
O 0.4607 0.7211 0.3050  1 S 1.51
O 0.4853 0.5000 0.8903  1 S 1.48
O 0.5049 0.2799 0.7689  1 S 1.51
O 0.5049 0.7201 0.7689  1 S 1.51
O 0.5216 0.2180 0.5838  1 S 1.50
O 0.5216 0.7820 0.5838  1 S 1.50
O 0.5419 0.0000 0.4618  1 S 1.49
O 0.5593 0.2181 0.0464  1 S 1.50
O 0.5593 0.7819 0.0464  1 S 1.50
O 0.6055 0.0000 0.1710  1 S 1.48
O 0.6202 0.5000 0.2554  1 S 1.49
O 0.6523 0.5000 0.4468  1 S 1.47
O 0.7043 0.0000 0.5733  1 S 1.47
O 0.7351 0.0000 0.7658  1 S 1.50
O 0.7514 0.5000 0.8449  1 S 1.47
O 0.7871 0.2801 0.9696  1 S 1.51
O 0.7871 0.7199 0.9696  1 S 1.51
O 0.8194 0.5000 0.5550  1 S 1.49
O 0.8327 0.2788 0.4328  1 S 1.51
O 0.8327 0.7212 0.4328  1 S 1.51
O 0.8525 0.2183 0.2533  1 S 1.50
O 0.8525 0.7817 0.2533  1 S 1.50
O 0.8698 0.0000 0.1310  1 S 1.49
O 0.8921 0.2183 0.7116  1 S 1.50
O 0.8921 0.7817 0.7116  1 S 1.50
O 0.9384 0.0000 0.8359  1 S 1.47
O 0.9492 0.5000 0.9226  1 S 1.49
O 0.9898 0.5000 0.1122  1 S 1.47

Calculated values
Volume = 14.77 Å³/atom
Total energy = -6.387 eV/atom
Energy relative to the elements = -2437.8 meV/atom
Symmetry = Pm